A plane-wave DFT calculation with PBE+U was carried out for a relaxed MgFe8O14F2 crystal.

Cell: 5.920 7.309 7.631 Å, 85.20 71.56 68.80°
Space group P1 (No. 1)
Symmetry-distinct sites (fractional):
Mg 0.000 0.000 0.000 x1
Fe 0.027 0.500 0.461 x1
Fe 0.252 0.727 0.716 x1
Fe 0.287 0.243 0.704 x1
Fe 0.471 0.497 0.000 x1
Fe 0.557 0.967 0.925 x1
Fe 0.643 0.752 0.285 x1
Fe 0.702 0.286 0.272 x1
Fe 0.970 0.003 0.491 x1
O 0.020 0.084 0.237 x1
O 0.088 0.235 0.551 x1
O 0.153 0.516 0.660 x1
O 0.158 0.696 0.977 x1
O 0.320 0.822 0.470 x1
O 0.321 0.982 0.793 x1
O 0.370 0.440 0.269 x1
O 0.406 0.262 0.902 x1
O 0.563 0.729 0.059 x1
O 0.618 0.187 0.511 x1
O 0.796 0.302 0.015 x1
O 0.825 0.482 0.322 x1
O 0.878 0.772 0.425 x1
O 0.897 0.936 0.765 x1
F 0.601 0.559 0.722 x1
F 0.642 0.011 0.162 x1

**Mass density**: 4.2 g/cm³
**Magnetic moment**: 36.02 μB/f.u.
**Energy of formation from the pure elements**: -1.61 eV per atom
**Calculated total energy**: -0.2266 Ha/atom



A plane-wave DFT calculation with PBE+U was carried out for a relaxed Fe6O11F crystal.

Cell: 2.984 6.504 19.841 Å, 90.00 90.00 90.00°
Space group Amm2 (No. 38)
Symmetry-distinct sites (fractional):
Fe 0.000 0.000 0.000 x2
Fe 0.000 0.000 0.326 x2
Fe 0.000 0.000 0.670 x2
Fe 0.500 0.000 0.166 x2
Fe 0.500 0.000 0.506 x2
Fe 0.500 0.000 0.835 x2
O 0.000 0.191 0.501 x4
O 0.000 0.192 0.166 x4
O 0.000 0.193 0.834 x4
O 0.500 0.000 0.064 x2
O 0.500 0.000 0.264 x2
O 0.500 0.000 0.609 x2
O 0.500 0.000 0.733 x2
O 0.500 0.000 0.937 x2
F 0.500 0.000 0.398 x2

**Mass density**: 4.6 g/cm³
**Energy of formation from the pure elements**: -1.40 eV per atom
**Calculated total energy**: -0.2262 Ha/atom



A plane-wave DFT calculation with PBE+U was carried out for a relaxed V3H2O8 crystal.

Cell: 17.141 9.631 3.690 Å, 90.00 90.00 90.00°
Space group Pna2_1 (No. 33)
Symmetry-distinct sites (fractional):
V 0.049 0.095 0.000 x4
V 0.049 0.625 0.516 x4
V 0.153 0.442 0.023 x4
H 0.233 0.080 0.664 x4
H 0.234 0.759 0.581 x4
O 0.019 0.074 0.501 x4
O 0.044 0.573 0.013 x4
O 0.051 0.285 0.008 x4
O 0.103 0.764 0.516 x4
O 0.124 0.474 0.511 x4
O 0.139 0.045 0.991 x4
O 0.215 0.296 0.010 x4
O 0.223 0.585 0.992 x4

**Mass density**: 3.1 g/cm³
**Magnetic moment**: 1.00 μB/f.u.
**Energy of formation from the pure elements**: -2.02 eV per atom
**Calculated total energy**: -0.2525 Ha/atom